# 1
Cr8Fe3N8 | PBE | optimized geometry

Properties
E (MP2020) in eV/atom: -9.24
Calculated volume in Å³/f.u.: 179.6
E in eV/cell: -172.66

Structure (extended XYZ):
```
19
Lattice="8.2527 -0.2879 0.0479 1.0708 3.7877 0.0000 1.8906 -0.5345 5.6997" Properties=species:S:1:pos:R:3 pbc="T T T"
Cr 7.3351 2.0168 2.7122
N 8.3639 -0.3193 5.2159
Fe 5.8267 0.3980 1.2610
N 7.2418 2.0431 4.6915
Fe 1.4807 1.6266 2.8499
Cr 4.7396 2.7505 0.9420
Cr 2.9514 3.2561 4.2037
Cr 3.8790 0.9486 3.0354
Cr 6.4745 0.2148 4.8056
N 8.6881 1.6343 1.3608
N 2.8502 3.2847 0.5318
Cr 9.1962 1.4906 5.4808
N 6.7768 0.1294 2.8147
N 4.4373 2.8360 2.9330
N 3.9723 0.9222 1.0561
N 2.5260 1.3311 4.3869
Fe 5.3873 2.5674 4.4866
Cr 8.2627 -0.2907 1.5439
Cr 2.0178 1.4748 0.2668
```

# 2
CrFeN2 | PBE | optimized geometry

Properties
E (MP2020) in eV/atom: -8.93
Calculated volume in Å³/f.u.: 37.1
E in eV/cell: -560.04

Structure (extended XYZ):
```
64
Lattice="4.6525 0.0000 0.0000 0.0000 9.7100 0.0000 0.0000 0.0000 13.1363" Properties=species:S:1:pos:R:3 pbc="T T T"
N 4.3587 5.7106 11.8177
Fe 1.3385 2.4643 0.9604
N 2.6168 9.4625 8.7782
Fe 3.6647 2.3907 12.1759
N 2.0357 4.6075 10.9262
Fe 1.5619 4.3712 9.1416
Fe 0.7643 5.3388 2.5734
N 0.2589 3.4397 6.4616
Cr 1.2894 6.2951 10.7251
Fe 3.0905 5.3388 3.9947
N 2.0673 8.2947 6.4616
N 0.2938 0.8556 7.8868
N 2.6200 0.8556 11.8177
N 4.3935 6.2703 6.6747
Cr 3.6156 8.2699 2.4112
Cr 1.1488 4.6894 12.7213
Cr 3.4750 0.1656 0.4150
Fe 3.3140 7.3193 5.6078
N 4.3935 8.2947 0.1065
Fe 0.7643 9.2262 9.1416
N 4.3587 8.8544 5.2495
Fe 3.0905 9.2262 10.5629
Fe 3.8882 0.4838 3.9947
N 2.0325 8.8544 1.3186
Cr 1.1488 0.1656 6.1531
Fe 3.3140 7.2457 12.1759
Cr 1.2894 8.2699 4.1570
N 0.2938 3.9994 1.3186
N 4.2096 2.4941 10.4481
N 2.7691 7.3491 10.4481
Cr 1.1775 5.0206 6.1531
N 2.5852 3.4397 0.1065
Fe 0.9878 7.2457 7.5285
N 2.6168 5.1025 2.2101
Cr 3.6156 6.2951 8.9793
Fe 0.9878 7.3193 0.9604
Cr 1.0368 3.4149 4.1570
N 1.8833 2.3609 2.6882
N 0.2589 1.4153 13.0298
N 1.8833 2.4941 9.2564
Fe 1.3385 2.3907 7.5285
N 2.7691 7.2159 3.8799
Cr 3.4750 4.6894 6.9832
N 4.3619 4.6075 8.7782
N 0.4429 7.2159 2.6882
N 0.2906 5.1025 4.3581
N 2.0357 0.2475 4.3581
N 0.2906 9.4625 10.9262
Cr 3.3631 1.4401 8.9793
N 0.4429 7.3491 9.2564
Cr 3.5037 5.0206 0.4150
Cr 3.3631 3.4149 2.4112
N 2.0325 5.7106 7.8868
Cr 3.5037 9.5444 6.9832
Fe 3.6647 2.4643 5.6078
Cr 1.0368 1.4401 10.7251
Fe 3.8882 4.3712 10.5629
N 4.3619 0.2475 2.2101
Cr 1.1775 9.5444 12.7213
N 2.0673 6.2703 13.0298
Fe 1.5619 0.4838 2.5734
N 2.5852 1.4153 6.6747
N 2.6200 3.9994 5.2495
N 4.2096 2.3609 3.8799
```

# 3
CrFe2N3 | PBE | optimized geometry

Properties
E (MP2020) in eV/atom: -8.93
Calculated volume in Å³/f.u.: 57.2
E in eV/cell: -104.94

Structure (extended XYZ):
```
12
Lattice="-4.3910 -1.4698 2.4363 0.8623 -1.5850 -4.8013 2.2829 -3.9687 1.7201" Properties=species:S:1:pos:R:3 pbc="T T T"
Cr 0.3444 -0.6272 -1.5382
Fe -0.2453 -3.0493 -0.0943
N 2.6432 -4.6529 -1.6670
Fe 1.4258 -6.0072 -2.1833
Cr 1.7794 -3.1511 -2.3125
Fe -1.6411 -2.8079 2.3150
N -0.3075 -5.9668 -1.6080
N -0.5048 -1.8106 1.2898
N -1.6953 -3.5295 -1.0962
N 1.2066 -2.1258 -0.8833
N 0.8830 -4.2478 0.7781
Fe 0.0299 -5.7658 0.2260
```

# 4
CrFeN2 | PBE | optimized geometry

Properties
E (MP2020) in eV/atom: -8.94
Calculated volume in Å³/f.u.: 33.0
E in eV/cell: -70.11

Structure (extended XYZ):
```
8
Lattice="-0.1663 -0.6965 -2.6552 2.4410 0.6037 1.1129 1.2732 -9.6849 2.4607" Properties=species:S:1:pos:R:3 pbc="T T T"
N 1.7343 -1.0674 0.1713
Cr 1.0210 -2.6843 -0.7840
Fe 0.0000 0.0000 0.0000
N 1.8136 -8.7103 0.7470
N 1.5024 -6.3431 0.1456
Fe 0.6366 -4.8424 1.2303
N 2.0455 -3.4346 0.7728
Cr 2.5269 -7.0933 1.7024
```

# 5
Cr2Fe9N8 | PBE | optimized geometry

Properties
E (MP2020) in eV/atom: -8.59
Calculated volume in Å³/f.u.: 177.3
E in eV/cell: -160.25

Structure (extended XYZ):
```
19
Lattice="7.9156 -0.2411 -0.2650 1.0454 3.6978 0.0000 1.4787 -0.4180 5.9518" Properties=species:S:1:pos:R:3 pbc="T T T"
Fe 2.0307 1.4226 0.2152
Fe 8.4090 1.6160 5.4716
N 8.3195 1.6414 1.0128
Cr 5.3110 2.4919 4.7677
Cr 5.1287 0.5467 0.9191
N 3.9141 2.8868 3.6801
Fe 3.6625 0.9612 3.4469
N 7.5123 -0.1271 5.3062
N 6.5256 0.1518 2.0068
N 3.4454 1.0226 1.5536
N 6.9943 2.0160 4.1332
Fe 2.2230 3.3649 4.5779
Fe 1.2620 1.6399 2.9759
Fe 6.3010 0.2153 3.8682
N 2.1202 1.3973 4.6740
Fe 8.2167 -0.3263 1.1090
Fe 4.1387 2.8233 1.8186
N 2.9274 3.1658 0.3806
Fe 6.7772 2.0774 2.2399
```

# 6
CrFe2N3 | PBE | optimized geometry

Properties
E (MP2020) in eV/atom: -8.74
Calculated volume in Å³/f.u.: 54.3
E in eV/cell: -205.47

Structure (extended XYZ):
```
24
Lattice="5.0245 0.2683 -0.1021 -7.7030 3.9912 0.0000 -0.4774 -0.9214 9.8670" Properties=species:S:1:pos:R:3 pbc="T T T"
Cr -0.0089 0.9489 6.3774
Cr -3.1470 2.3891 3.3875
N -0.5749 -0.5787 7.4002
N 1.8553 0.5092 6.0677
Fe -4.4818 3.5487 1.7893
Cr -4.1750 2.3373 8.3210
N 0.7144 -0.5579 9.6578
N -2.7407 1.0680 8.6308
Fe -2.4579 1.9157 6.7228
N -3.8703 3.8960 0.1071
N -7.6055 3.6484 2.4667
Fe -1.0218 0.3885 9.2941
N -0.6291 0.7225 4.7243
N -0.4153 2.2701 1.1342
Fe -4.3014 3.4880 5.4043
N -2.5269 2.6155 5.0406
N -2.4106 0.9568 2.4667
Cr 1.0191 1.0007 1.4439
Fe -0.6980 1.4223 3.0421
Fe -2.1341 2.9495 0.4708
N -5.7698 2.1129 7.4002
N -5.0113 2.8288 3.6973
Fe 1.1454 -0.1500 4.3606
Fe 1.3258 -0.2107 7.9756
```